Density functional theory data (PBE-GGA) for crystalline BaCaLaBiO6 at its relaxed geometry.

Values from the calculation:
* energy relative to the lowest polymorph listed for this composition: 159 meV/atom
* spin magnetization: 0.00 Bohr magnetons per cell
* energy of formation from the pure elements: -2.62 eV/atom
* V: 15.93 A^3/atom

Unit cell a=6.085 b=6.085 c=6.085 alpha=60.00 beta=60.00 gamma=60.00
Atoms (fractional coordinates):
La 0.250 0.250 0.250
Ba 0.750 0.750 0.750
O 0.757 0.243 0.757
O 0.243 0.243 0.757
O 0.757 0.757 0.243
O 0.757 0.243 0.243
O 0.243 0.757 0.757
O 0.243 0.757 0.243
Ca 0.500 0.500 0.500
Bi 0.000 0.000 0.000


Density functional theory data (PBE-GGA) for crystalline BaTi4ZnO8 at its relaxed geometry.

Values from the calculation:
* spin magnetization: 2.00 Bohr magnetons per cell
* energy of formation from the pure elements: -2.93 eV/atom
* V: 18.48 A^3/atom

Unit cell a=5.875 b=5.875 c=8.658 alpha=90.00 beta=90.00 gamma=120.00
Atoms (fractional coordinates):
O 0.378 0.378 0.750
O 0.622 0.000 0.750
O 0.000 0.378 0.250
O 0.378 0.000 0.250
O 0.000 0.622 0.750
O 0.622 0.622 0.250
O 0.333 0.667 0.000
O 0.667 0.333 0.000
Ti 0.667 0.333 0.214
Ti 0.667 0.333 0.786
Ti 0.333 0.667 0.786
Ti 0.333 0.667 0.214
Ba 0.000 0.000 0.000
Zn 0.000 0.000 0.500


Density functional theory data (PBE-GGA) for crystalline Rb2In3 at its relaxed geometry.

Values from the calculation:
* energy of formation from the pure elements: -0.13 eV/atom
* V: 39.72 A^3/atom

Unit cell a=9.476 b=9.476 c=9.476 alpha=136.56 beta=136.56 gamma=63.12
Atoms (fractional coordinates):
Rb 0.250 0.750 0.500
Rb 0.610 0.610 0.000
Rb 0.390 0.390 0.000
Rb 0.750 0.250 0.500
In 0.000 0.704 0.704
In 0.704 0.000 0.704
In 0.296 0.000 0.296
In 0.147 0.147 0.000
In 0.853 0.853 0.000
In 0.000 0.296 0.296


Density functional theory data (PBE-GGA) for crystalline Zr3Co at its relaxed geometry.

Values from the calculation:
* energy of formation from the pure elements: -0.21 eV/atom
* V: 19.97 A^3/atom

Unit cell a=5.641 b=5.641 c=9.054 alpha=90.00 beta=90.00 gamma=146.32
Atoms (fractional coordinates):
Zr 0.135 0.865 0.444
Zr 0.865 0.135 0.944
Zr 0.417 0.583 0.250
Zr 0.865 0.135 0.556
Zr 0.135 0.865 0.056
Zr 0.583 0.417 0.750
Co 0.276 0.724 0.750
Co 0.724 0.276 0.250


Density functional theory data (PBE-GGA) for crystalline VCo3 at its relaxed geometry.

Values from the calculation:
* spin magnetization: 3.61 Bohr magnetons per cell
* energy of formation from the pure elements: 0.05 eV/atom
* V: 11.40 A^3/atom

Unit cell a=8.358 b=8.358 c=8.358 alpha=17.41 beta=17.41 gamma=17.41
Atoms (fractional coordinates):
Co 0.752 0.752 0.752
Co 0.248 0.248 0.248
Co 0.500 0.500 0.500
V 0.000 0.000 0.000


Density functional theory data (PBE-GGA) for crystalline LiBH4 at its relaxed geometry.

Values from the calculation:
* energy relative to the lowest polymorph listed for this composition: 43 meV/atom
* spin magnetization: 0.00 Bohr magnetons per cell
* energy of formation from the pure elements: -0.41 eV/atom
* V: 7.02 A^3/atom

Unit cell a=4.073 b=4.080 c=5.067 alpha=90.22 beta=90.12 gamma=90.00
Atoms (fractional coordinates):
H 0.001 0.759 0.640
H 0.501 0.740 0.863
H 0.749 0.501 0.139
H 0.254 0.503 0.139
H 0.500 0.245 0.873
H 0.239 0.000 0.361
H 0.999 0.253 0.633
H 0.744 0.998 0.369
B 0.501 0.496 0.003
B 0.996 0.003 0.500
Li 0.495 0.492 0.502
Li 0.992 0.011 0.001


Density functional theory data (PBE-GGA) for crystalline BaSi2Rh2 at its relaxed geometry.

Values from the calculation:
* energy of formation from the pure elements: -0.87 eV/atom
* V: 20.95 A^3/atom

Unit cell a=6.775 b=7.749 c=7.983 alpha=88.71 beta=90.00 gamma=90.00
Atoms (fractional coordinates):
Rh 0.896 0.114 0.378
Rh 0.332 0.671 0.862
Rh 0.668 0.329 0.138
Rh 0.104 0.886 0.622
Rh 0.168 0.171 0.862
Rh 0.604 0.614 0.378
Rh 0.832 0.829 0.138
Rh 0.396 0.386 0.622
Si 0.150 0.185 0.564
Si 0.578 0.628 0.075
Si 0.922 0.128 0.075
Si 0.850 0.815 0.436
Si 0.350 0.685 0.564
Si 0.650 0.315 0.436
Si 0.422 0.372 0.925
Si 0.078 0.872 0.925
Ba 0.883 0.497 0.763
Ba 0.383 0.003 0.237
Ba 0.117 0.503 0.237
Ba 0.617 0.997 0.763


Density functional theory data (PBE-GGA) for crystalline NaAg2Sn at its relaxed geometry.

Values from the calculation:
* energy of formation from the pure elements: -0.11 eV/atom
* V: 20.91 A^3/atom

Unit cell a=4.909 b=4.909 c=4.909 alpha=60.00 beta=60.00 gamma=60.00
Atoms (fractional coordinates):
Sn 0.000 0.000 0.000
Na 0.500 0.500 0.500
Ag 0.750 0.750 0.750
Ag 0.250 0.250 0.250